# 1
The following is a PBE with a Hubbard U calculation of an optimized crystal structure of ScMo3O8, from the Materials Project.

As for the volume: 141.9 Å³ per cell. The spin magnetization comes out at 1.0 μB per formula unit. For the formation energy, the calculation gives -2.23 eV per atom.

The space group is P1 (No. 1) and the conventional cell measures 4.906, 5.759 and 5.762 Å, with angles of 60.63, 89.82 and 89.86 degrees. The inequivalent atoms are Sc at (0.000, 0.000, 0.000), Mo at (0.519, 0.476, 0.476), Mo at (0.524, 0.022, 0.486), Mo at (0.524, 0.486, 0.021), O at (0.273, 0.162, 0.662), O at (0.273, 0.663, 0.161), O at (0.287, 0.162, 0.162), O at (0.321, 0.662, 0.662), O at (0.735, 0.332, 0.822), O at (0.736, 0.823, 0.332), O at (0.737, 0.828, 0.827) and O at (0.805, 0.318, 0.316).

=====

# 2
The following is a PBE with a Hubbard U calculation of an optimized crystal structure of ScMo3O8, from the Materials Project.

As for the volume: 303.8 Å³ per cell. The spin magnetization comes out at 1.0 μB per formula unit. For the formation energy, the calculation gives -2.15 eV per atom.

The space group is P6_3mc (No. 186) and the conventional cell measures 5.8610, 5.8610 and 10.2131 Å, with angles of 90.00, 90.00 and 120.00 degrees. The inequivalent atoms are Sc at (0.3333, 0.6667, 0.0000), Mo at (0.1511, 0.3023, 0.7446), O at (0.0000, 0.0000, 0.3822), O at (0.0314, 0.5157, 0.8542), O at (0.1686, 0.3372, 0.1297) and O at (0.3333, 0.6667, 0.6481).

=====

# 3
The following is a PBE with a Hubbard U calculation of an optimized crystal structure of ScMo3O8, from the Materials Project.

As for the volume: 149.4 Å³ per cell. The spin magnetization comes out at 5.0 μB per formula unit. For the formation energy, the calculation gives -2.28 eV per atom.

The space group is P-1 (No. 2) and the conventional cell measures 4.543, 6.106 and 6.112 Å, with angles of 118.20, 90.41 and 90.30 degrees. The inequivalent atoms are Sc at (0.000, 0.000, 0.000), Mo at (0.500, 0.000, 0.500), Mo at (0.500, 0.500, 0.000), Mo at (0.500, 0.500, 0.500), O at (0.261, 0.339, 0.176), O at (0.267, 0.845, 0.653), O at (0.270, 0.826, 0.165) and O at (0.276, 0.321, 0.650).

=====

| no. | ρ (g cm⁻³) |
| --- | --- |
| 1 | 5.393 |
| 2 | 5.036 |
| 3 | 5.121 |